# Pm3Nd, optimized geometry, DFT meta-GGA r2SCAN
data_Pm3Nd
_chemical_formula_sum 'Pm6 Nd2'
_cell_length_a 7.4716
_cell_length_b 7.4716
_cell_length_c 5.8466
_cell_angle_alpha 90.00
_cell_angle_beta 90.00
_cell_angle_gamma 120.00
_symmetry_space_group_name_H-M 'P 63/m m c'
_symmetry_Int_Tables_number 194
_symmetry_space_group_name_Hall '-P 6c 2c'
loop_
_atom_site_label
_atom_site_type_symbol
_atom_site_fract_x
_atom_site_fract_y
_atom_site_fract_z
_atom_site_occupancy
Pm1 Pm 0.1666 0.3333 0.2500 1
Nd1 Nd 0.3333 0.6667 0.7500 1
# * magnetization: 0.0 μB per cell
# * polymorph energy (0 for the lowest one): 5.1 meV/atom
# * energy of formation from the pure elements: 0.025 eV/atom